[1]
# MnAl2Tc, relaxed, DFT PBE
data_MnAl2Tc
_cell_length_a 6.072
_cell_length_b 6.072
_cell_length_c 6.072
_cell_angle_alpha 90.00
_cell_angle_beta 90.00
_cell_angle_gamma 90.00
_symmetry_space_group_name_H-M 'F m -3 m'
_symmetry_Int_Tables_number 225
_symmetry_space_group_name_Hall '-F 4 2 3'
loop_
_atom_site_label
_atom_site_type_symbol
_atom_site_fract_x
_atom_site_fract_y
_atom_site_fract_z
Mn1 Mn 0.000 0.000 0.000
Al1 Al 0.250 0.250 0.250
Tc1 Tc 0.000 0.000 0.500
# Energy relative to the lowest polymorph listed for this composition in meV/atom: 0.0
# ΔH_f (0 K) in eV/atom: -0.316
# Crystal system: cubic

***

[2]
# TmMn6Al6, relaxed, DFT PBE
data_TmMn6Al6
_cell_length_a 4.929
_cell_length_b 8.561
_cell_length_c 8.736
_cell_angle_alpha 90.00
_cell_angle_beta 90.00
_cell_angle_gamma 90.00
_symmetry_space_group_name_H-M 'I m m m'
_symmetry_Int_Tables_number 71
_symmetry_space_group_name_Hall '-I 2 2'
loop_
_atom_site_label
_atom_site_type_symbol
_atom_site_fract_x
_atom_site_fract_y
_atom_site_fract_z
Tm1 Tm 0.000 0.000 0.000
Mn1 Mn 0.000 0.264 0.500
Mn2 Mn 0.250 0.250 0.250
Al1 Al 0.000 0.000 0.346
Al2 Al 0.000 0.337 0.000
Al3 Al 0.000 0.500 0.305
# ΔH_f (0 K) in eV/atom: -0.250
# Crystal system: orthorhombic

***

[3]
# TmMn4Al8, relaxed, DFT PBE
data_TmMn4Al8
_cell_length_a 8.744
_cell_length_b 8.744
_cell_length_c 5.144
_cell_angle_alpha 90.00
_cell_angle_beta 90.00
_cell_angle_gamma 90.00
_symmetry_space_group_name_H-M 'I 4/m m m'
_symmetry_Int_Tables_number 139
_symmetry_space_group_name_Hall '-I 4 2'
loop_
_atom_site_label
_atom_site_type_symbol
_atom_site_fract_x
_atom_site_fract_y
_atom_site_fract_z
Tm1 Tm 0.000 0.000 0.000
Mn1 Mn 0.250 0.250 0.250
Al1 Al 0.000 0.223 0.500
Al2 Al 0.000 0.336 0.000
# ΔH_f (0 K) in eV/atom: -0.341
# Crystal system: tetragonal

***

[4]
# U2MnAl3, relaxed, DFT PBE
data_U2MnAl3
_cell_length_a 5.0530
_cell_length_b 5.0530
_cell_length_c 13.8487
_cell_angle_alpha 90.00
_cell_angle_beta 90.00
_cell_angle_gamma 120.00
_symmetry_space_group_name_H-M 'R -3 m'
_symmetry_Int_Tables_number 166
_symmetry_space_group_name_Hall '-R 3 2"'
loop_
_atom_site_label
_atom_site_type_symbol
_atom_site_fract_x
_atom_site_fract_y
_atom_site_fract_z
U1 U 0.0000 0.0000 0.1426
Mn1 Mn 0.0000 0.0000 0.5000
Al1 Al 0.0000 0.5000 0.0000
# ΔH_f (0 K) in eV/atom: -0.121
# Crystal system: trigonal

***

[5]
# UMn4Al8, relaxed, DFT PBE
data_UMn4Al8
_cell_length_a 8.777
_cell_length_b 8.777
_cell_length_c 5.112
_cell_angle_alpha 90.00
_cell_angle_beta 90.00
_cell_angle_gamma 90.00
_symmetry_space_group_name_H-M 'I 4/m m m'
_symmetry_Int_Tables_number 139
_symmetry_space_group_name_Hall '-I 4 2'
loop_
_atom_site_label
_atom_site_type_symbol
_atom_site_fract_x
_atom_site_fract_y
_atom_site_fract_z
U1 U 0.000 0.000 0.000
Mn1 Mn 0.250 0.250 0.250
Al1 Al 0.000 0.219 0.500
Al2 Al 0.000 0.341 0.000
# ΔH_f (0 K) in eV/atom: -0.235
# Crystal system: tetragonal

***

[6]
# MnAlV2, relaxed, DFT PBE
data_MnAlV2
_cell_length_a 5.948
_cell_length_b 5.948
_cell_length_c 5.948
_cell_angle_alpha 90.00
_cell_angle_beta 90.00
_cell_angle_gamma 90.00
_symmetry_space_group_name_H-M 'F -4 3 m'
_symmetry_Int_Tables_number 216
_symmetry_space_group_name_Hall 'F -4 2 3'
loop_
_atom_site_label
_atom_site_type_symbol
_atom_site_fract_x
_atom_site_fract_y
_atom_site_fract_z
Mn1 Mn 0.000 0.000 0.000
Al1 Al 0.250 0.250 0.250
V1 V 0.000 0.000 0.500
V2 V 0.250 0.250 0.750
# ΔH_f (0 K) in eV/atom: -0.155
# Crystal system: cubic

***

[7]
# YMn6Al6, relaxed, DFT PBE
data_YMn6Al6
_cell_length_a 4.943
_cell_length_b 8.630
_cell_length_c 8.773
_cell_angle_alpha 90.00
_cell_angle_beta 90.00
_cell_angle_gamma 90.00
_symmetry_space_group_name_H-M 'I m m m'
_symmetry_Int_Tables_number 71
_symmetry_space_group_name_Hall '-I 2 2'
loop_
_atom_site_label
_atom_site_type_symbol
_atom_site_fract_x
_atom_site_fract_y
_atom_site_fract_z
Y1 Y 0.000 0.000 0.000
Mn1 Mn 0.000 0.262 0.500
Mn2 Mn 0.250 0.250 0.250
Al1 Al 0.000 0.000 0.347
Al2 Al 0.000 0.338 0.000
Al3 Al 0.000 0.500 0.303
# ΔH_f (0 K) in eV/atom: -0.246
# Crystal system: orthorhombic

***

[8]
# Mn8Al27Zn3, relaxed, DFT PBE
data_Mn8Al27Zn3
_cell_length_a 7.780
_cell_length_b 23.906
_cell_length_c 12.299
_cell_angle_alpha 90.00
_cell_angle_beta 90.00
_cell_angle_gamma 90.00
_symmetry_space_group_name_H-M 'C m c m'
_symmetry_Int_Tables_number 63
_symmetry_space_group_name_Hall '-C 2c 2'
loop_
_atom_site_label
_atom_site_type_symbol
_atom_site_fract_x
_atom_site_fract_y
_atom_site_fract_z
Mn1 Mn 0.000 0.041 0.250
Mn2 Mn 0.000 0.140 0.551
Mn3 Mn 0.000 0.414 0.588
Mn4 Mn 0.000 0.418 0.250
Mn5 Mn 0.163 0.217 0.250
Al1 Al 0.000 0.040 0.625
Al2 Al 0.000 0.139 0.149
Al3 Al 0.000 0.239 0.063
Al4 Al 0.000 0.313 0.250
Al5 Al 0.177 0.219 0.631
Al6 Al 0.183 0.054 0.065
Al7 Al 0.191 0.327 0.567
Al8 Al 0.198 0.389 0.750
Al9 Al 0.207 0.389 0.117
Al10 Al 0.210 0.496 0.250
Zn1 Zn 0.000 0.138 0.750
Zn2 Zn 0.000 0.477 0.085
# ΔH_f (0 K) in eV/atom: -0.163
# Crystal system: orthorhombic

***

[9]
# Zr3Mn8Al, relaxed, DFT PBE
data_Zr3Mn8Al
_cell_length_a 4.8689
_cell_length_b 4.8689
_cell_length_c 8.1208
_cell_angle_alpha 90.00
_cell_angle_beta 90.00
_cell_angle_gamma 120.00
_symmetry_space_group_name_H-M 'P 3 m 1'
_symmetry_Int_Tables_number 156
loop_
_symmetry_equiv_pos_as_xyz
'x,y,z'
'-y,x-y,z'
'-x+y,-x,z'
'-y,-x,z'
'-x+y,y,z'
'x,x-y,z'
loop_
_atom_site_label
_atom_site_type_symbol
_atom_site_fract_x
_atom_site_fract_y
_atom_site_fract_z
Zr1 Zr 0.0000 0.0000 0.0000
Zr2 Zr 0.0000 0.0000 0.3764
Zr3 Zr 0.3333 0.6667 0.8581
Mn1 Mn 0.0134 0.5067 0.1889
Mn2 Mn 0.3246 0.1623 0.6799
Mn3 Mn 0.6667 0.3333 0.4372
Mn4 Mn 0.6667 0.3333 0.9397
Al1 Al 0.3333 0.6667 0.4984
# ΔH_f (0 K) in eV/atom: -0.204
# Crystal system: trigonal

***

[10]
# Al12Mo, relaxed, DFT PBE
data_Al12Mo
_cell_length_a 7.584
_cell_length_b 7.584
_cell_length_c 7.584
_cell_angle_alpha 90.00
_cell_angle_beta 90.00
_cell_angle_gamma 90.00
_symmetry_space_group_name_H-M 'I m -3'
_symmetry_Int_Tables_number 204
_symmetry_space_group_name_Hall '-I 2 2 3'
loop_
_atom_site_label
_atom_site_type_symbol
_atom_site_fract_x
_atom_site_fract_y
_atom_site_fract_z
Al1 Al 0.000 0.186 0.308
Mo1 Mo 0.000 0.000 0.000
# ΔH_f (0 K) in eV/atom: -0.119
# Crystal system: cubic

***

[11]
# Al22Mo5, relaxed, DFT PBE
data_Al22Mo5
_cell_length_a 9.189
_cell_length_b 73.913
_cell_length_c 4.945
_cell_angle_alpha 90.00
_cell_angle_beta 90.00
_cell_angle_gamma 90.00
_symmetry_space_group_name_H-M 'F d d 2'
_symmetry_Int_Tables_number 43
_symmetry_space_group_name_Hall 'F 2 -2d'
loop_
_atom_site_label
_atom_site_type_symbol
_atom_site_fract_x
_atom_site_fract_y
_atom_site_fract_z
Al1 Al 0.003 0.341 0.040
Al2 Al 0.021 0.396 0.478
Al3 Al 0.022 0.259 0.714
Al4 Al 0.025 0.084 0.450
Al5 Al 0.040 0.481 0.794
Al6 Al 0.043 0.378 0.000
Al7 Al 0.067 0.176 0.049
Al8 Al 0.074 0.278 0.196
Al9 Al 0.082 0.064 0.965
Al10 Al 0.105 0.463 0.291
Al11 Al 0.123 0.297 0.714
Mo1 Mo 0.000 0.000 0.792
Mo2 Mo 0.037 0.359 0.528
Mo3 Mo 0.106 0.195 0.541
# ΔH_f (0 K) in eV/atom: -0.315
# Crystal system: orthorhombic

***

[12]
# Al3Mo, relaxed, DFT PBE
data_Al3Mo
_cell_length_a 16.448
_cell_length_b 3.605
_cell_length_c 8.397
_cell_angle_alpha 90.00
_cell_angle_beta 101.87
_cell_angle_gamma 90.00
_symmetry_space_group_name_H-M 'C 1 2/m 1'
_symmetry_Int_Tables_number 12
loop_
_symmetry_equiv_pos_as_xyz
'x,y,z'
'-x,-y,-z'
'-x,y,-z'
'x,-y,z'
'x+1/2,y+1/2,z'
'-x+1/2,-y+1/2,-z'
'-x+1/2,y+1/2,-z'
'x+1/2,-y+1/2,z'
loop_
_atom_site_label
_atom_site_type_symbol
_atom_site_fract_x
_atom_site_fract_y
_atom_site_fract_z
Al1 Al 0.060 0.000 0.416
Al2 Al 0.065 0.000 0.921
Al3 Al 0.065 0.500 0.179
Al4 Al 0.188 0.000 0.723
Al5 Al 0.188 0.500 0.471
Al6 Al 0.189 0.500 0.981
Mo1 Mo 0.073 0.500 0.679
Mo2 Mo 0.195 0.000 0.229
# ΔH_f (0 K) in eV/atom: -0.321
# Crystal system: monoclinic

***

Going through the records in order, we get final energy values of -7.070 -6.552 -5.810 -7.285 -6.227 -7.924 -6.701 -4.852 -8.761 -4.411 -5.375 -5.842 eV/atom.